1.
The following is a DFT calculation (PBE+U) of a relaxed structure of Mg14CrNiO16.

The structure in CIF format:
```
data_Mg14CrNiO16
_chemical_formula_sum 'Mg14 Cr1 Ni1 O16'
_cell_length_a 4.299
_cell_length_b 8.496
_cell_length_c 8.513
_cell_angle_alpha 90.00
_cell_angle_beta 90.00
_cell_angle_gamma 90.00
_space_group_name_H-M_alt 'P m m m'
_space_group_IT_number 47
_space_group_name_Hall '-P 2 2'
loop_
_atom_site_label
_atom_site_type_symbol
_atom_site_fract_x
_atom_site_fract_y
_atom_site_fract_z
Mg1 Mg 0.000 0.000 0.000
Mg2 Mg 0.000 0.000 0.500
Mg3 Mg 0.000 0.250 0.247
Mg4 Mg 0.500 0.000 0.249
Mg5 Mg 0.500 0.250 0.500
Mg6 Mg 0.500 0.252 0.000
Mg7 Mg 0.500 0.500 0.247
Cr1 Cr 0.000 0.500 0.500
Ni1 Ni 0.000 0.500 0.000
O1 O 0.000 0.000 0.251
O2 O 0.000 0.246 0.000
O3 O 0.000 0.249 0.500
O4 O 0.000 0.500 0.255
O5 O 0.500 0.000 0.000
O6 O 0.500 0.000 0.500
O7 O 0.500 0.251 0.250
O8 O 0.500 0.500 0.000
O9 O 0.500 0.500 0.500
```

Calculated values
**Crystal system**: orthorhombic
**E**: -6.01 eV per atom


2.
The following is a DFT calculation (PBE+U) of a relaxed structure of Li4Ni5O10.

The structure in CIF format:
```
data_Li4Ni5O10
_chemical_formula_sum 'Li8 Ni10 O20'
_cell_length_a 6.520
_cell_length_b 7.462
_cell_length_c 7.627
_cell_angle_alpha 85.00
_cell_angle_beta 89.84
_cell_angle_gamma 64.81
_space_group_name_H-M_alt 'P -1'
_space_group_IT_number 2
_space_group_name_Hall '-P 1'
loop_
_atom_site_label
_atom_site_type_symbol
_atom_site_fract_x
_atom_site_fract_y
_atom_site_fract_z
Li1 Li 0.097 0.081 0.096
Li2 Li 0.241 0.006 0.749
Li3 Li 0.305 0.292 0.300
Li4 Li 0.395 0.904 0.397
Ni1 Ni 0.000 0.500 0.000
Ni2 Ni 0.048 0.800 0.548
Ni3 Ni 0.145 0.399 0.654
Ni4 Ni 0.352 0.601 0.850
Ni5 Ni 0.455 0.198 0.951
Ni6 Ni 0.500 0.500 0.500
O1 O 0.028 0.647 0.760
O2 O 0.070 0.962 0.351
O3 O 0.152 0.260 0.876
O4 O 0.172 0.549 0.451
O5 O 0.244 0.167 0.529
O6 O 0.258 0.834 0.964
O7 O 0.332 0.439 0.054
O8 O 0.353 0.741 0.628
O9 O 0.426 0.046 0.150
O10 O 0.459 0.356 0.742
```

Calculated values
**E above lowest polymorph**: 37 meV/atom
**Crystal system**: triclinic


3.
The following is a DFT calculation (PBE+U) of a relaxed structure of Ti5Fe11O24.

The structure in CIF format:
```
data_Ti5Fe11O24
_chemical_formula_sum 'Ti5 Fe11 O24'
_cell_length_a 5.539
_cell_length_b 9.149
_cell_length_c 9.160
_cell_angle_alpha 68.50
_cell_angle_beta 85.28
_cell_angle_gamma 85.01
_space_group_name_H-M_alt 'P 1'
_space_group_IT_number 1
_space_group_name_Hall 'P 1'
loop_
_atom_site_label
_atom_site_type_symbol
_atom_site_fract_x
_atom_site_fract_y
_atom_site_fract_z
Ti1 Ti 0.000 0.000 0.000
Ti2 Ti 0.003 0.492 0.502
Ti3 Ti 0.084 0.640 0.145
Ti4 Ti 0.500 0.000 0.501
Ti5 Ti 0.504 0.496 0.998
Fe1 Fe 0.007 0.746 0.749
Fe2 Fe 0.082 0.144 0.643
Fe3 Fe 0.087 0.390 0.899
Fe4 Fe 0.088 0.894 0.399
Fe5 Fe 0.504 0.248 0.752
Fe6 Fe 0.504 0.749 0.251
Fe7 Fe 0.581 0.392 0.396
Fe8 Fe 0.584 0.143 0.150
Fe9 Fe 0.584 0.893 0.894
Fe10 Fe 0.588 0.643 0.649
Fe11 Fe 0.989 0.244 0.249
O1 O 0.141 0.457 0.105
O2 O 0.144 0.855 0.193
O3 O 0.150 0.952 0.591
O4 O 0.154 0.354 0.681
O5 O 0.270 0.051 0.856
O6 O 0.279 0.550 0.355
O7 O 0.303 0.094 0.300
O8 O 0.305 0.592 0.801
O9 O 0.442 0.681 0.058
O10 O 0.445 0.792 0.448
O11 O 0.454 0.177 0.558
O12 O 0.459 0.292 0.949
O13 O 0.638 0.351 0.183
O14 O 0.640 0.853 0.684
O15 O 0.647 0.944 0.104
O16 O 0.654 0.445 0.607
O17 O 0.773 0.547 0.859
O18 O 0.786 0.039 0.360
O19 O 0.799 0.102 0.799
O20 O 0.805 0.606 0.290
O21 O 0.950 0.687 0.537
O22 O 0.951 0.300 0.450
O23 O 0.954 0.180 0.051
O24 O 0.959 0.790 0.963
```

Calculated values
**E above lowest polymorph**: 234 meV/atom
**Crystal system**: triclinic


4.
The following is a DFT calculation (PBE+U) of a relaxed structure of Sr3CaTi2Mn2O12.

The structure in CIF format:
```
data_Sr3CaTi2Mn2O12
_chemical_formula_sum 'Sr12 Ca4 Ti8 Mn8 O48'
_cell_length_a 11.019
_cell_length_b 11.020
_cell_length_c 7.784
_cell_angle_alpha 90.00
_cell_angle_beta 90.00
_cell_angle_gamma 90.00
_space_group_name_H-M_alt 'C m m 2'
_space_group_IT_number 35
_space_group_name_Hall 'C 2 -2'
loop_
_atom_site_label
_atom_site_type_symbol
_atom_site_fract_x
_atom_site_fract_y
_atom_site_fract_z
Sr1 Sr 0.000 0.247 0.000
Sr2 Sr 0.247 0.000 0.000
Sr3 Sr 0.247 0.000 0.505
Ca1 Ca 0.000 0.247 0.506
Ti1 Ti 0.000 0.500 0.254
Ti2 Ti 0.000 0.500 0.751
Ti3 Ti 0.250 0.250 0.254
Mn1 Mn 0.000 0.000 0.254
Mn2 Mn 0.000 0.000 0.751
Mn3 Mn 0.250 0.250 0.752
O1 O 0.000 0.000 0.003
O2 O 0.000 0.000 0.502
O3 O 0.000 0.500 0.002
O4 O 0.000 0.500 0.503
O5 O 0.123 0.124 0.255
O6 O 0.124 0.127 0.750
O7 O 0.125 0.374 0.255
O8 O 0.126 0.373 0.750
O9 O 0.250 0.250 0.000
O10 O 0.250 0.250 0.505
```

Calculated values
**Crystal system**: orthorhombic
**E**: -7.45 eV per atom


| no. | magnetic moment (μB per cell) |
| --- | --- |
| 1 | 5.333 |
| 2 | 8.000 |
| 3 | 4.479 |
| 4 | 24.534 |